A relaxed SrCd2H16Br6O8 crystal, computed with GGA-PBE.

Cell lengths 4.186, 26.102, 8.733 Å; angles 90.00, 90.00, 90.00 degrees
Space group P2_12_12 (No. 18)
Unique sites:
Sr: 0.000 0.000 0.170 [2 per cell]
Cd: 0.035 0.307 0.363 [4 per cell]
H: 0.002 0.970 0.531 [4 per cell]
H: 0.030 0.595 0.787 [4 per cell]
H: 0.033 0.567 0.627 [4 per cell]
H: 0.090 0.525 0.111 [4 per cell]
H: 0.094 0.094 0.900 [4 per cell]
H: 0.119 0.678 0.846 [4 per cell]
H: 0.200 0.327 0.934 [4 per cell]
H: 0.225 0.909 0.987 [4 per cell]
Br: 0.005 0.587 0.339 [4 per cell]
Br: 0.023 0.210 0.842 [4 per cell]
Br: 0.043 0.193 0.416 [4 per cell]
O: 0.000 0.000 0.463 [2 per cell]
O: 0.000 0.500 0.040 [2 per cell]
O: 0.005 0.921 0.991 [4 per cell]
O: 0.030 0.348 0.887 [4 per cell]
O: 0.034 0.561 0.738 [4 per cell]

Properties
M_tot (μB/f.u.): 0.00

=====

A relaxed CaPt3O4 crystal, computed with GGA-PBE.

Cell lengths 5.875, 5.875, 5.875 Å; angles 90.00, 90.00, 90.00 degrees
Space group Pm-3n (No. 223)
Unique sites:
Ca: 0.000 0.000 0.000 [2 per cell]
Pt: 0.000 0.250 0.500 [6 per cell]
O: 0.250 0.250 0.250 [8 per cell]

Properties
M_tot (μB/f.u.): 0.00

=====

A relaxed DyH9C5N2O8 crystal, computed with GGA-PBE.

Cell lengths 6.789, 18.459, 8.687 Å; angles 90.00, 90.00, 90.00 degrees
Space group C222_1 (No. 20)
Unique sites:
Dy: 0.000 0.143 0.250 [4 per cell]
H: 0.000 0.314 0.750 [4 per cell]
H: 0.000 0.346 0.250 [4 per cell]
H: 0.155 0.493 0.172 [8 per cell]
H: 0.208 0.290 0.445 [8 per cell]
H: 0.230 0.406 0.103 [8 per cell]
H: 0.235 0.000 0.000 [4 per cell]
C: 0.000 0.374 0.750 [4 per cell]
C: 0.000 0.405 0.250 [4 per cell]
C: 0.072 0.000 0.000 [4 per cell]
C: 0.236 0.244 0.525 [8 per cell]
N: 0.136 0.438 0.168 [8 per cell]
O: 0.016 0.049 0.426 [8 per cell]
O: 0.165 0.406 0.735 [8 per cell]
O: 0.176 0.242 0.151 [8 per cell]
O: 0.178 0.182 0.484 [8 per cell]

Properties
M_tot (μB/f.u.): 0.00

=====

A relaxed Cu3RhN crystal, computed with GGA-PBE.

Cell lengths 3.849, 3.849, 3.849 Å; angles 90.00, 90.00, 90.00 degrees
Space group Pm-3m (No. 221)
Unique sites:
Cu: 0.000 0.000 0.500 [3 per cell]
Rh: 0.500 0.500 0.500 [1 per cell]
N: 0.000 0.000 0.000 [1 per cell]

Properties
M_tot (μB/f.u.): 0.04

=====

A relaxed Y2AlN3 crystal, computed with GGA-PBE.

Cell lengths 11.240, 6.276, 5.138 Å; angles 90.00, 90.00, 90.00 degrees
Space group Cmc2_1 (No. 36)
Unique sites:
Y: 0.159 0.183 0.000 [8 per cell]
Al: 0.000 0.341 0.527 [4 per cell]
N: 0.000 0.379 0.893 [4 per cell]
N: 0.148 0.184 0.461 [8 per cell]

Properties
M_tot (μB/f.u.): 0.00

=====

A relaxed IrRu2N10Cl10 crystal, computed with GGA-PBE.

Cell lengths 11.652, 8.897, 15.807 Å; angles 90.00, 109.61, 90.00 degrees
Space group C2/m (No. 12)
Unique sites:
Ir: 0.000 0.000 0.000 [2 per cell]
Ru: 0.132 0.500 0.412 [4 per cell]
N: 0.004 0.500 0.696 [4 per cell]
N: 0.122 0.346 0.473 [8 per cell]
N: 0.216 0.437 0.162 [8 per cell]
Cl: 0.000 0.258 0.000 [4 per cell]
Cl: 0.023 0.000 0.152 [4 per cell]
Cl: 0.149 0.500 0.725 [4 per cell]
Cl: 0.185 0.000 0.606 [4 per cell]
Cl: 0.207 0.000 0.036 [4 per cell]

Properties
M_tot (μB/f.u.): 5.00

=====

A relaxed Cs7In3As6 crystal, computed with GGA-PBE.

Cell lengths 8.892, 9.875, 15.073 Å; angles 85.37, 85.61, 87.32 degrees
Space group P-1 (No. 2)
Unique sites:
Cs: 0.174 0.128 0.363 [2 per cell]
Cs: 0.186 0.685 0.871 [2 per cell]
Cs: 0.243 0.508 0.468 [2 per cell]
Cs: 0.255 0.998 0.019 [2 per cell]
Cs: 0.277 0.762 0.250 [2 per cell]
Cs: 0.309 0.844 0.606 [2 per cell]
Cs: 0.310 0.415 0.116 [2 per cell]
In: 0.057 0.317 0.868 [2 per cell]
In: 0.085 0.228 0.623 [2 per cell]
In: 0.365 0.456 0.703 [2 per cell]
As: 0.040 0.490 0.702 [2 per cell]
As: 0.089 0.052 0.787 [2 per cell]
As: 0.361 0.099 0.773 [2 per cell]
As: 0.379 0.292 0.875 [2 per cell]
As: 0.411 0.199 0.615 [2 per cell]
As: 0.486 0.100 0.192 [2 per cell]

Properties
M_tot (μB/f.u.): 0.00

=====

A relaxed TmLuCo2 crystal, computed with GGA-PBE.

Cell lengths 6.552, 6.552, 6.552 Å; angles 90.00, 90.00, 90.00 degrees
Space group Fm-3m (No. 225)
Unique sites:
Tm: 0.000 0.000 0.000 [4 per cell]
Lu: 0.000 0.000 0.500 [4 per cell]
Co: 0.250 0.250 0.250 [8 per cell]

=====

no.,theoretical density (g cm⁻³),ΔH_f (0 K) (eV/atom)
1,3.26,-1.2428
2,11.29,-1.4039
3,2.36,-1.2373
4,8.96,0.2538
5,4.52,-1.6050
6,1.91,0.1800
7,4.36,-0.3137
8,10.90,-0.2519